No. 1
This record from the Materials Project describes a geometry-optimized Na2LiMnPCO7 structure. The functional is PBE+U.

Energy relative to the elements   -2375.3 meV/atom
Distance to the lowest polymorph of the same formula   6 meV/atom
SG   P1 (1)
Size of the total moment   5.00 μB per formula unit

Structure (POSCAR):
```
Na2LiMnPCO7
1.0
6.848 0.000 0.000
-0.065 8.830 0.000
-0.005 -0.193 10.210
O Li C P Na Mn
28 4 4 4 8 4
Direct
0.255 0.425 0.796
0.251 0.888 0.978
0.250 0.860 0.274
0.068 0.316 0.110
0.569 0.694 0.394
0.248 0.086 0.840
0.749 0.571 0.700
0.250 0.564 0.584
0.932 0.682 0.397
0.732 0.431 0.410
0.752 0.088 0.513
0.065 0.308 0.604
0.427 0.306 0.597
0.751 0.911 0.171
0.752 0.435 0.914
0.932 0.692 0.892
0.276 0.099 0.353
0.252 0.847 0.761
0.752 0.910 0.670
0.249 0.571 0.091
0.749 0.087 0.013
0.432 0.317 0.097
0.746 0.155 0.727
0.251 0.905 0.492
0.747 0.156 0.228
0.570 0.691 0.893
0.268 0.424 0.301
0.748 0.575 0.201
0.741 0.914 0.374
0.255 0.088 0.622
0.472 0.272 0.387
0.750 0.909 0.873
0.260 0.955 0.373
0.749 0.051 0.136
0.750 0.050 0.635
0.250 0.941 0.860
0.745 0.593 0.353
0.751 0.594 0.852
0.254 0.409 0.148
0.249 0.404 0.644
0.000 0.255 0.375
0.256 0.084 0.123
0.999 0.743 0.624
0.503 0.744 0.124
0.500 0.256 0.874
0.000 0.256 0.874
0.502 0.743 0.625
0.997 0.744 0.124
0.748 0.360 0.113
0.250 0.644 0.387
0.747 0.357 0.608
0.251 0.640 0.888
```



No. 2
This record from the Materials Project describes a geometry-optimized Fe2O3 structure. The functional is PBE+U.

Energy relative to the elements   -1539.0 meV/atom
SG   C2/c (15)
Size of the total moment   10.00 μB per formula unit

Structure (POSCAR):
```
Fe2O3
1.0
-10.830 -3.817 9.153
-2.372 -4.608 1.348
7.188 1.568 -2.620
O Fe
6 4
Direct
0.746 0.503 0.997
0.251 0.997 0.997
0.763 0.750 0.525
0.237 0.250 0.475
0.749 0.003 0.003
0.254 0.497 0.003
0.578 0.105 0.505
0.422 0.895 0.495
0.927 0.395 0.505
0.073 0.605 0.495
```



No. 3
This record from the Materials Project describes a geometry-optimized SrLaFeCoO6 structure. The functional is PBE+U.

Energy relative to the elements   -2417.8 meV/atom
Distance to the lowest polymorph of the same formula   0 meV/atom
SG   Cm (8)
Size of the total moment   6.00 μB per formula unit

Structure (POSCAR):
```
SrLaFeCoO6
1.0
-4.827 1.819 -1.913
-2.080 -8.776 -3.096
-3.987 1.432 3.510
Co O Sr La Fe
2 12 2 2 2
Direct
0.501 0.497 0.998
0.000 0.001 0.000
0.877 0.878 0.245
0.624 0.625 0.249
0.375 0.376 0.751
0.633 0.122 0.246
0.122 0.122 0.756
0.376 0.376 0.249
0.367 0.878 0.756
0.121 0.122 0.246
0.873 0.376 0.751
0.878 0.878 0.756
0.624 0.625 0.753
0.127 0.625 0.249
0.374 0.877 0.251
0.876 0.372 0.248
0.123 0.632 0.754
0.628 0.118 0.744
0.250 0.250 0.499
0.750 0.749 0.499
```



No. 4
This record from the Materials Project describes a geometry-optimized Li2FeB5O10 structure. The functional is PBE+U.

Energy relative to the elements   -2644.2 meV/atom
SG   P2_1/c (14)
Size of the total moment   5.00 μB per formula unit

Structure (POSCAR):
```
Li2FeB5O10
1.0
-6.600 -11.732 -7.264
5.631 -4.237 1.728
-3.263 -1.992 6.182
O Li B Fe
40 8 20 4
Direct
0.157 0.910 0.537
0.589 0.850 0.284
0.691 0.170 0.506
0.343 0.910 0.037
0.049 0.169 0.907
0.730 0.722 0.011
0.448 0.722 0.362
0.089 0.150 0.216
0.658 0.499 0.529
0.552 0.278 0.638
0.948 0.278 0.138
0.809 0.170 0.006
0.843 0.090 0.463
0.974 0.750 0.412
0.304 0.598 0.038
0.582 0.318 0.309
0.804 0.402 0.462
0.270 0.278 0.989
0.770 0.722 0.511
0.052 0.722 0.862
0.549 0.831 0.593
0.411 0.150 0.716
0.082 0.682 0.191
0.230 0.278 0.489
0.418 0.682 0.691
0.342 0.501 0.471
0.657 0.090 0.963
0.696 0.402 0.962
0.526 0.750 0.912
0.026 0.250 0.588
0.196 0.598 0.538
0.158 0.501 0.971
0.191 0.830 0.994
0.911 0.850 0.784
0.309 0.830 0.494
0.474 0.250 0.088
0.951 0.831 0.093
0.918 0.318 0.809
0.451 0.169 0.407
0.842 0.499 0.029
0.573 0.306 0.911
0.427 0.694 0.089
0.927 0.306 0.411
0.330 0.100 0.500
0.670 0.900 0.500
0.170 0.100 0.000
0.073 0.694 0.589
0.830 0.900 0.000
0.880 0.319 0.994
0.497 0.754 0.733
0.380 0.681 0.506
0.223 0.784 0.521
0.743 0.542 0.501
0.526 0.798 0.408
0.997 0.246 0.767
0.120 0.681 0.006
0.277 0.784 0.021
0.243 0.458 0.999
0.474 0.202 0.592
0.620 0.319 0.494
0.974 0.798 0.908
0.257 0.458 0.499
0.003 0.754 0.233
0.723 0.216 0.979
0.757 0.542 0.001
0.503 0.246 0.267
0.026 0.202 0.092
0.777 0.216 0.479
0.876 0.850 0.536
0.124 0.150 0.464
0.624 0.850 0.036
0.376 0.150 0.964
```